Arrangement a

First-principles (PBE+U) data for an optimized crystal structure of LiMnPO5, as listed in the Materials Project database.

```
32
Lattice="-2.826 4.052 1.559 -0.014 -0.015 6.938 9.286 3.710 2.368" Properties=species:S:1:pos:R:3 pbc="T T T"
Li 3.606 6.353 3.649
P 2.994 1.194 3.777
O 5.031 3.278 5.056
P 0.229 2.679 1.655
O 5.189 3.923 8.972
O 3.218 5.752 8.395
O 7.306 3.646 5.766
Mn -2.833 4.044 5.028
O 3.966 5.628 5.934
Mn 3.223 3.873 5.433
O 5.717 6.007 3.425
Mn 3.216 3.866 8.901
O 6.580 7.132 5.657
O 2.481 2.119 4.931
O 1.416 4.469 5.809
O 3.103 4.503 3.702
Li 0.370 2.464 5.155
O 6.450 5.868 7.902
O 3.227 1.995 2.471
O 7.478 4.305 2.744
P 6.217 5.068 9.209
O 3.343 3.244 7.163
O 1.256 3.824 1.893
P 3.453 6.552 7.087
Li 6.076 5.283 5.710
O -1.032 3.440 8.120
Li 2.840 1.395 7.216
O 0.730 1.739 7.439
O -0.004 1.878 2.962
O -0.859 4.101 5.098
Mn 6.460 7.762 3.926
O -0.134 0.614 5.207
```

***

Arrangement b

First-principles (PBE+U) data for an optimized crystal structure of LiMnPO5, as listed in the Materials Project database.

```
64
Lattice="12.353 0.000 0.000 0.000 6.108 0.000 0.000 0.000 10.431" Properties=species:S:1:pos:R:3 pbc="T T T"
Li 1.356 1.230 0.000
Li 2.135 4.430 7.549
Li 4.041 1.376 2.333
Li 4.821 4.284 5.216
Li 7.532 1.824 0.000
Li 8.311 4.731 7.549
Li 10.218 1.677 2.333
Li 10.997 4.878 5.216
Mn 1.568 6.067 4.238
Mn 3.058 4.538 1.595
Mn 3.119 1.484 6.811
Mn 4.608 3.013 9.454
Mn 7.745 3.095 4.238
Mn 9.234 4.624 1.595
Mn 9.295 1.570 6.811
Mn 10.785 0.041 9.454
P 0.015 0.985 6.863
P 2.312 3.013 4.227
P 3.864 6.067 9.443
P 6.161 4.039 1.647
P 6.191 2.069 6.863
P 8.489 0.041 4.227
P 10.041 3.095 9.443
P 12.338 5.123 1.647
O 0.056 5.961 2.940
O 0.107 6.098 5.672
O 1.187 4.156 1.481
O 1.243 1.937 6.903
O 1.365 4.188 4.465
O 1.390 1.820 4.018
O 2.853 0.051 5.588
O 2.853 5.946 2.892
O 2.871 5.923 0.213
O 2.905 0.139 8.222
O 3.272 3.193 3.006
O 3.305 2.869 5.429
O 3.323 2.892 8.108
O 3.323 3.105 0.372
O 4.786 4.874 9.234
O 4.812 1.134 9.681
O 4.933 4.990 1.688
O 4.990 1.102 6.696
O 6.069 3.044 0.456
O 6.120 2.907 8.156
O 6.233 3.200 2.940
O 6.284 3.064 5.672
O 7.363 5.006 1.481
O 7.420 1.117 6.903
O 7.541 4.973 4.465
O 7.566 1.234 4.018
O 9.029 3.003 5.588
O 9.030 3.216 2.892
O 9.047 3.239 0.213
O 9.081 2.915 8.222
O 9.448 5.969 3.006
O 9.482 0.185 5.429
O 9.500 0.162 8.108
O 9.500 6.057 0.372
O 10.963 4.288 9.234
O 10.988 1.919 9.681
O 11.110 4.171 1.688
O 11.166 1.952 6.696
O 12.246 0.010 0.456
O 12.297 0.147 8.156
```

Values from the calculation:
As for the space group: Pna2_1.

***

Arrangement c

First-principles (PBE+U) data for an optimized crystal structure of LiMnPO5, as listed in the Materials Project database.

```
32
Lattice="7.166 0.000 0.000 0.000 7.816 0.000 -3.415 0.000 6.126" Properties=species:S:1:pos:R:3 pbc="T T T"
Li 0.816 0.473 1.729
Li -0.891 3.435 4.791
Li 4.642 4.381 1.334
Li 2.935 7.343 4.397
Mn 0.085 5.844 3.062
Mn -1.622 5.880 6.125
Mn 5.373 1.936 0.000
Mn 3.666 1.972 3.063
P -0.768 0.823 4.587
P 0.940 3.085 1.524
P 2.811 4.731 4.602
P 4.519 6.993 1.539
O -1.773 1.852 3.993
O -0.066 2.056 0.930
O 0.259 3.951 2.605
O -1.448 7.772 5.668
O -0.768 5.284 4.602
O 0.940 6.440 1.539
O 1.612 3.946 0.426
O -0.096 7.778 3.488
O 0.241 1.843 5.190
O 1.948 2.065 2.127
O 1.803 5.751 3.999
O 3.510 5.973 0.936
O 3.847 0.038 2.637
O 2.139 3.870 5.700
O 2.811 1.376 4.587
O 4.519 2.532 1.524
O 5.199 0.043 0.458
O 3.492 3.865 3.521
O 3.817 5.760 5.195
O 5.524 5.964 2.133
```

Values from the calculation:
As for the space group: P2_1/c.

***

Arrangement d

First-principles (PBE+U) data for an optimized crystal structure of LiMnPO5, as listed in the Materials Project database.

```
32
Lattice="6.120 0.000 0.000 0.000 7.830 0.000 -0.011 0.000 7.593" Properties=species:S:1:pos:R:3 pbc="T T T"
Li 1.529 1.331 1.064
Li 1.524 2.584 4.861
Li 4.585 5.246 2.732
Li 4.580 6.499 6.529
Mn -0.005 0.000 3.797
Mn 0.000 3.915 0.000
Mn 3.054 0.000 3.797
Mn 3.060 3.915 0.000
P 1.525 5.213 2.793
P 1.520 6.532 6.590
P 4.589 1.298 1.003
P 4.584 2.617 4.800
O 0.240 5.638 6.635
O 0.245 6.107 2.838
O 1.524 4.511 1.363
O 1.519 7.235 5.160
O 1.525 0.702 2.971
O 1.519 3.213 6.768
O 1.524 4.176 3.878
O 1.530 7.569 0.081
O 2.800 5.640 6.634
O 2.805 6.105 2.837
O 3.304 1.725 4.756
O 3.309 2.190 0.960
O 4.579 0.261 7.512
O 4.585 3.654 3.716
O 4.590 4.617 0.825
O 4.584 7.128 4.622
O 4.590 0.596 2.434
O 4.585 3.320 6.230
O 5.864 1.723 4.756
O 5.869 2.192 0.959
```

Values from the calculation:
As for the space group: P2_1/c.

***

Quick one: most stable of them? arrangement a

***

Arrangement a

First-principles (PBE+U) data for an optimized crystal structure of LiMnPO5, as listed in the Materials Project database.

```
32
Lattice="7.106 0.000 0.000 0.000 6.288 0.000 0.000 0.000 7.426" Properties=species:S:1:pos:R:3 pbc="T T T"
Li 0.000 0.000 0.000
Li 0.000 3.144 0.000
Li 3.553 0.000 3.713
Li 3.553 3.144 3.713
Mn 1.000 1.572 2.003
Mn 2.553 4.716 5.716
Mn 4.553 1.572 1.710
Mn 6.106 4.716 5.423
P 0.880 4.716 2.824
P 2.673 1.572 6.537
P 4.433 4.716 0.889
P 6.226 1.572 4.602
O 0.438 1.572 3.803
O 0.766 4.716 6.230
O 0.924 3.510 1.857
O 0.924 5.922 1.857
O 1.428 1.572 0.039
O 2.125 4.716 3.752
O 2.629 0.366 5.570
O 2.629 2.778 5.570
O 2.787 1.572 2.517
O 3.115 4.716 0.090
O 3.991 1.572 7.337
O 4.319 4.716 4.909
O 4.477 3.510 1.856
O 4.477 5.922 1.856
O 4.981 1.572 3.674
O 5.677 4.716 7.387
O 6.182 0.366 5.570
O 6.182 2.778 5.570
O 6.340 1.572 1.196
O 6.668 4.716 3.623
```

Values from the calculation:
As for the space group: Pnma.

***

Arrangement b

First-principles (PBE+U) data for an optimized crystal structure of LiMnPO5, as listed in the Materials Project database.

```
32
Lattice="4.967 0.000 0.000 0.000 10.249 0.000 -2.748 0.000 6.668" Properties=species:S:1:pos:R:3 pbc="T T T"
Li -0.260 0.992 1.109
Li -1.634 4.133 4.443
Li 3.854 6.117 2.225
Li 2.480 9.257 5.560
Mn -0.035 0.732 5.464
Mn 1.339 4.392 2.130
Mn 0.880 5.857 4.539
Mn 2.254 9.517 1.205
P -1.717 6.670 6.472
P -0.343 8.704 3.137
P 2.562 1.545 3.531
P 3.936 3.579 0.197
O -1.099 1.932 4.297
O 0.275 3.192 0.962
O 0.631 5.886 1.090
O -0.743 9.488 4.424
O -1.419 0.394 6.668
O -0.045 4.731 3.334
O -0.795 5.813 5.581
O 0.579 9.561 2.246
O 0.315 7.370 3.495
O 1.689 8.004 0.160
O 0.530 2.245 6.508
O 1.904 2.879 3.174
O 1.640 0.689 4.422
O 3.014 4.436 1.088
O 2.264 5.518 3.335
O 3.638 9.855 0.001
O 2.962 0.761 2.245
O 1.588 4.363 5.579
O 1.944 7.057 5.706
O 3.318 8.317 2.372
```

Values from the calculation:
As for the space group: P2_1/c.

***

Quick one: most stable of them? arrangement b